[1]
The following is a DFT calculation (PBE) of HfMg6NbO8 after structural relaxation.

Cell lengths 4.355, 4.355, 8.885 Å; angles 90.00, 90.00, 90.00 degrees
Element x y z (fractional)
Hf  0.000  0.000  0.000
Mg  0.000  0.000  0.500
Mg  0.000  0.500  0.261
Mg  0.000  0.500  0.739
Mg  0.500  0.000  0.261
Mg  0.500  0.000  0.739
Mg  0.500  0.500  0.500
Nb  0.500  0.500  0.000
O  0.000  0.000  0.255
O  0.000  0.000  0.745
O  0.000  0.500  0.000
O  0.000  0.500  0.500
O  0.500  0.000  0.000
O  0.500  0.000  0.500
O  0.500  0.500  0.266
O  0.500  0.500  0.734

Summary:
size of the total moment	0.12	μB/cell
crystal system	tetragonal
polymorph energy (0 for the lowest one)	0.0	meV/atom

[2]
The following is a DFT calculation (PBE) of Ba3YB3O9 after structural relaxation.

Cell lengths 9.508, 9.508, 18.114 Å; angles 90.00, 90.00, 120.00 degrees
Element x y z (fractional)
Ba  0.000  0.000  0.000
Ba  0.000  0.000  0.500
Ba  0.000  0.317  0.152
Ba  0.000  0.349  0.915
Ba  0.000  0.651  0.415
Ba  0.000  0.683  0.652
Ba  0.317  0.000  0.152
Ba  0.317  0.317  0.652
Ba  0.333  0.667  0.061
Ba  0.333  0.667  0.561
Ba  0.349  0.000  0.915
Ba  0.349  0.349  0.415
Ba  0.651  0.000  0.415
Ba  0.651  0.651  0.915
Ba  0.667  0.333  0.061
Ba  0.667  0.333  0.561
Ba  0.683  0.000  0.652
Ba  0.683  0.683  0.152
Y  0.000  0.000  0.287
Y  0.000  0.000  0.787
Y  0.333  0.667  0.281
Y  0.333  0.667  0.781
Y  0.667  0.333  0.281
Y  0.667  0.333  0.781
B  0.000  0.326  0.358
B  0.000  0.333  0.533
B  0.000  0.340  0.704
B  0.000  0.660  0.204
B  0.000  0.667  0.033
B  0.000  0.674  0.858
B  0.326  0.000  0.358
B  0.326  0.326  0.858
B  0.333  0.000  0.533
B  0.333  0.333  0.033
B  0.340  0.000  0.704
B  0.340  0.340  0.204
B  0.660  0.000  0.204
B  0.660  0.660  0.704
B  0.667  0.000  0.033
B  0.667  0.667  0.533
B  0.674  0.000  0.858
B  0.674  0.674  0.358
O  0.000  0.181  0.368
O  0.000  0.195  0.714
O  0.000  0.479  0.533
O  0.000  0.521  0.033
O  0.000  0.805  0.214
O  0.000  0.819  0.868
O  0.146  0.472  0.353
O  0.146  0.674  0.853
O  0.147  0.333  0.533
O  0.147  0.486  0.699
O  0.147  0.661  0.199
O  0.147  0.814  0.033
O  0.181  0.000  0.368
O  0.181  0.181  0.868
O  0.186  0.333  0.033
O  0.186  0.853  0.533
O  0.195  0.000  0.714
O  0.195  0.195  0.214
O  0.326  0.472  0.853
O  0.326  0.854  0.353
O  0.333  0.147  0.533
O  0.333  0.186  0.033
O  0.339  0.486  0.199
O  0.339  0.853  0.699
O  0.472  0.146  0.353
O  0.472  0.326  0.853
O  0.479  0.000  0.533
O  0.479  0.479  0.033
O  0.486  0.147  0.699
O  0.486  0.339  0.199
O  0.514  0.661  0.699
O  0.514  0.853  0.199
O  0.521  0.000  0.033
O  0.521  0.521  0.533
O  0.528  0.674  0.353
O  0.528  0.854  0.853
O  0.661  0.147  0.199
O  0.661  0.514  0.699
O  0.667  0.814  0.533
O  0.667  0.853  0.033
O  0.674  0.146  0.853
O  0.674  0.528  0.353
O  0.805  0.000  0.214
O  0.805  0.805  0.714
O  0.814  0.147  0.033
O  0.814  0.667  0.533
O  0.819  0.000  0.868
O  0.819  0.819  0.368
O  0.853  0.186  0.533
O  0.853  0.339  0.699
O  0.853  0.514  0.199
O  0.853  0.667  0.033
O  0.854  0.326  0.353
O  0.854  0.528  0.853

Summary:
size of the total moment	0.13	μB/cell
crystal system	hexagonal

[3]
The following is a DFT calculation (PBE) of K5H3S5O14 after structural relaxation.

Cell lengths 10.781, 10.781, 15.011 Å; angles 103.91, 103.91, 32.23 degrees
Element x y z (fractional)
K  0.000  0.000  0.000
K  0.000  0.000  0.500
K  0.207  0.207  0.129
K  0.222  0.222  0.614
K  0.415  0.415  0.284
K  0.424  0.424  0.803
K  0.576  0.576  0.197
K  0.585  0.585  0.716
K  0.778  0.778  0.386
K  0.793  0.793  0.871
H  0.114  0.114  0.857
H  0.331  0.331  0.035
H  0.406  0.406  0.574
H  0.594  0.594  0.426
H  0.669  0.669  0.965
H  0.886  0.886  0.143
S  0.045  0.045  0.288
S  0.159  0.159  0.343
S  0.178  0.178  0.849
S  0.370  0.370  0.485
S  0.393  0.393  0.017
S  0.607  0.607  0.983
S  0.630  0.630  0.515
S  0.822  0.822  0.151
S  0.841  0.841  0.657
S  0.955  0.955  0.712
O  0.022  0.611  0.203
O  0.033  0.618  0.705
O  0.034  0.034  0.186
O  0.186  0.596  0.445
O  0.186  0.773  0.677
O  0.191  0.599  0.963
O  0.221  0.221  0.942
O  0.227  0.814  0.323
O  0.299  0.299  0.484
O  0.382  0.967  0.295
O  0.389  0.978  0.797
O  0.401  0.809  0.037
O  0.404  0.814  0.555
O  0.441  0.441  0.107
O  0.559  0.559  0.893
O  0.596  0.186  0.445
O  0.599  0.191  0.963
O  0.611  0.022  0.203
O  0.618  0.033  0.705
O  0.701  0.701  0.516
O  0.773  0.186  0.677
O  0.779  0.779  0.058
O  0.809  0.401  0.037
O  0.814  0.227  0.323
O  0.814  0.404  0.555
O  0.966  0.966  0.814
O  0.967  0.382  0.295
O  0.978  0.389  0.797

Summary:
size of the total moment	0.00	μB/cell
crystal system	monoclinic

[4]
The following is a DFT calculation (PBE) of BiOF after structural relaxation.

Cell lengths 3.797, 3.797, 6.217 Å; angles 90.00, 90.00, 90.00 degrees
Element x y z (fractional)
Bi  0.250  0.250  0.209
Bi  0.750  0.750  0.791
O  0.250  0.750  0.000
O  0.750  0.250  0.000
F  0.250  0.250  0.644
F  0.750  0.750  0.356

Summary:
crystal system	tetragonal

[5]
The following is a DFT calculation (PBE) of Ca2HI2 after structural relaxation.

Cell lengths 4.833, 4.833, 14.623 Å; angles 90.00, 90.00, 90.00 degrees
Element x y z (fractional)
Ca  0.000  0.000  0.142
Ca  0.000  0.000  0.858
H  0.000  0.000  0.000
I  0.000  0.000  0.331
I  0.000  0.000  0.669

Summary:
size of the total moment	0.68	μB/cell
crystal system	tetragonal

[6]
The following is a DFT calculation (PBE) of K2NaCa2TiSi7HO20 after structural relaxation.

Cell lengths 7.144, 10.535, 12.338 Å; angles 92.44, 90.66, 99.04 degrees
Element x y z (fractional)
K  0.221  0.340  0.095
K  0.271  0.550  0.649
K  0.729  0.450  0.351
K  0.779  0.660  0.905
Na  0.389  0.022  0.891
Na  0.611  0.978  0.109
Ca  0.090  0.880  0.407
Ca  0.410  0.126  0.580
Ca  0.590  0.874  0.420
Ca  0.910  0.120  0.593
Ti  0.102  0.987  0.100
Ti  0.898  0.013  0.900
Si  0.004  0.316  0.817
Si  0.126  0.869  0.692
Si  0.196  0.315  0.414
Si  0.266  0.602  0.350
Si  0.280  0.724  0.011
Si  0.425  0.129  0.299
Si  0.432  0.310  0.812
Si  0.568  0.690  0.188
Si  0.575  0.871  0.701
Si  0.720  0.276  0.989
Si  0.734  0.398  0.650
Si  0.804  0.685  0.586
Si  0.874  0.131  0.308
Si  0.996  0.684  0.183
H  0.300  0.741  0.830
H  0.700  0.259  0.170
O  0.003  0.725  0.658
O  0.051  0.921  0.807
O  0.058  0.834  0.216
O  0.068  0.592  0.276
O  0.089  0.644  0.066
O  0.118  0.098  0.986
O  0.128  0.965  0.594
O  0.185  0.256  0.531
O  0.232  0.368  0.829
O  0.238  0.474  0.424
O  0.273  0.673  0.883
O  0.288  0.878  0.029
O  0.304  0.731  0.426
O  0.334  0.082  0.181
O  0.341  0.834  0.720
O  0.368  0.272  0.338
O  0.382  0.031  0.396
O  0.409  0.168  0.760
O  0.440  0.583  0.265
O  0.467  0.673  0.065
O  0.533  0.327  0.935
O  0.560  0.417  0.735
O  0.591  0.832  0.240
O  0.618  0.969  0.604
O  0.632  0.728  0.662
O  0.659  0.166  0.280
O  0.666  0.918  0.819
O  0.696  0.269  0.574
O  0.712  0.122  0.971
O  0.727  0.327  0.117
O  0.762  0.526  0.576
O  0.768  0.632  0.171
O  0.815  0.744  0.469
O  0.872  0.035  0.406
O  0.882  0.902  0.014
O  0.911  0.356  0.934
O  0.932  0.408  0.724
O  0.942  0.166  0.784
O  0.949  0.079  0.193
O  0.997  0.275  0.342

Summary:
crystal system	triclinic
polymorph energy (0 for the lowest one)	0.0	meV/atom

[7]
The following is a DFT calculation (PBE) of LiMgPb2 after structural relaxation.

Cell lengths 5.247, 5.247, 5.247 Å; angles 60.00, 60.00, 60.00 degrees
Element x y z (fractional)
Li  0.000  0.000  0.000
Mg  0.500  0.500  0.500
Pb  0.250  0.250  0.250
Pb  0.750  0.750  0.750

Summary:
crystal system	cubic

[8]
The following is a DFT calculation (PBE) of SiRu2 after structural relaxation.

Cell lengths 5.325, 4.038, 7.453 Å; angles 90.00, 90.00, 90.00 degrees
Element x y z (fractional)
Si  0.202  0.250  0.098
Si  0.298  0.750  0.598
Si  0.702  0.250  0.402
Si  0.798  0.750  0.902
Ru  0.014  0.250  0.788
Ru  0.166  0.250  0.435
Ru  0.334  0.750  0.935
Ru  0.486  0.750  0.288
Ru  0.514  0.250  0.712
Ru  0.666  0.250  0.065
Ru  0.834  0.750  0.565
Ru  0.986  0.750  0.212

Summary:
crystal system	orthorhombic

[9]
The following is a DFT calculation (PBE) of Li3BiF6 after structural relaxation.

Cell lengths 7.311, 7.526, 7.996 Å; angles 72.45, 82.91, 63.89 degrees
Element x y z (fractional)
Li  0.000  0.000  0.000
Li  0.000  0.500  0.000
Li  0.500  0.000  0.500
Bi  0.500  0.000  0.000
F  0.225  0.314  0.943
F  0.263  0.875  0.029
F  0.472  0.992  0.288
F  0.528  0.008  0.712
F  0.737  0.125  0.971
F  0.775  0.686  0.057

Summary:
size of the total moment	0.00	μB/cell
crystal system	triclinic
polymorph energy (0 for the lowest one)	114.0	meV/atom

[10]
The following is a DFT calculation (PBE) of UO11 after structural relaxation.

Cell lengths 5.957, 7.109, 8.210 Å; angles 107.16, 103.62, 101.42 degrees
Element x y z (fractional)
U  0.000  0.000  0.000
O  0.057  0.267  0.223
O  0.110  0.572  0.684
O  0.154  0.141  0.738
O  0.226  0.287  0.886
O  0.295  0.974  0.086
O  0.708  0.012  0.885
O  0.723  0.315  0.328
O  0.820  0.674  0.018
O  0.851  0.379  0.245
O  0.863  0.817  0.174
O  0.957  0.665  0.699

Summary:
size of the total moment	4.00	μB/cell
crystal system	triclinic
polymorph energy (0 for the lowest one)	0.0	meV/atom

[11]
The following is a DFT calculation (PBE) of BaYF5 after structural relaxation.

Cell lengths 13.515, 3.915, 3.916 Å; angles 90.00, 90.00, 90.00 degrees
Element x y z (fractional)
Ba  0.250  0.000  0.007
Ba  0.750  0.000  0.993
Y  0.000  0.500  0.500
Y  0.500  0.500  0.500
F  0.093  0.000  0.506
F  0.093  0.500  0.004
F  0.250  0.500  0.507
F  0.407  0.000  0.506
F  0.407  0.500  0.004
F  0.593  0.000  0.494
F  0.593  0.500  0.996
F  0.750  0.500  0.493
F  0.907  0.000  0.494
F  0.907  0.500  0.996

Summary:
size of the total moment	0.00	μB/cell
crystal system	orthorhombic
polymorph energy (0 for the lowest one)	39.9	meV/atom

[12]
The following is a DFT calculation (PBE) of LiGdO3 after structural relaxation.

Cell lengths 3.704, 3.704, 3.704 Å; angles 90.00, 90.00, 90.00 degrees
Element x y z (fractional)
Li  0.000  0.000  0.000
Gd  0.500  0.500  0.500
O  0.000  0.000  0.500
O  0.000  0.500  0.000
O  0.500  0.000  0.000

Summary:
size of the total moment	5.00	μB/cell
crystal system	cubic

no.,energy of formation (eV/f.u.),raw total energy (eV per atom),ρ (g cm⁻³)
1,-42.68,-6.652,5.4
2,-52.73,-7.709,4.8
3,-49.57,-5.394,2.1
4,-6.60,-5.401,9.0
5,-2.20,-2.379,1.6
6,-106.72,-7.316,2.7
7,-0.71,-2.910,7.2
8,-1.22,-8.396,9.5
9,-27.58,-4.591,1.5
10,-11.01,-6.247,2.2
11,-30.11,-6.537,5.1
12,-11.31,-8.015,6.9